Record 1
VASP calculation (GGA-PBE) on a relaxed MgTe4Mo3WSe2S2 crystal.

Results
Energy above the lowest structure with this stoichiometry ... 24 meV per atom
Spin magnetization ... 0.01 μB/f.u.
ρ ... 4.8 Mg/m³

Cell lengths 3.4130, 3.4137, 42.5185 Å; angles 90.00, 90.12, 120.01 degrees
With the nearest neighbours (Å) after each atom.
Element x y z (fractional)
Se 0.6642 0.3320 0.4347  3 Mo 2.57
Te 0.3326 0.6663 0.6135  3 W 2.72
Mo 0.3328 0.6663 0.4735  6 Se 2.56-2.57
S 0.3367 0.6684 0.3119  3 Mo 2.48
Mo 0.6696 0.3349 0.2765  6 S 2.46-2.48
Se 0.6668 0.3334 0.5120  3 Mo 2.56
Te 0.6682 0.3341 0.1380  3 Mo 2.71-2.72
Te 0.6657 0.3328 0.0501  3 Mo 2.72
Mg 0.6720 0.3360 0.3662  1 Se 2.91, 3 S 3.03
W 0.6668 0.3335 0.6576  6 Te 2.72
S 0.3338 0.6669 0.2416  3 Mo 2.46-2.47
Te 0.3354 0.6678 0.7018  3 W 2.72
Mo 0.3339 0.6669 0.0941  6 Te 2.71-2.72


Record 2
VASP calculation (GGA-PBE) on a relaxed MgTe4MoW3Se2S2 crystal.

Results
Energy above the lowest structure with this stoichiometry ... 29 meV per atom
Spin magnetization ... 0.01 μB/f.u.
ρ ... 5.2 Mg/m³

Cell lengths 3.4038, 3.4037, 44.7534 Å; angles 90.01, 90.00, 120.00 degrees
With the nearest neighbours (Å) after each atom.
Element x y z (fractional)
Te 0.3333 0.6667 0.6159  3 W 2.72
S 0.3334 0.6668 0.3114  3 Mo 2.50
Se 0.6666 0.3333 0.4391  3 W 2.57
Te 0.6666 0.3331 0.0518  3 W 2.72
W 0.3333 0.6667 0.4763  6 Se 2.57
W 0.6667 0.3334 0.6580  6 Te 2.72
Mg 0.0000 0.0000 0.3636  3 S 3.05-3.06, 6 Mg 3.40
S 0.3333 0.6667 0.2439  3 Mo 2.46
Te 0.6666 0.3333 0.1360  3 W 2.72
W 0.3333 0.6665 0.0939  6 Te 2.72
Te 0.3334 0.6668 0.7001  3 W 2.72
Mo 0.6667 0.3334 0.2770  6 S 2.46-2.50
Se 0.6667 0.3334 0.5132  3 W 2.57


Record 3
VASP calculation (GGA-PBE) on a relaxed MgTe4Mo2W2Se2S2 crystal.

Results
Energy above the lowest structure with this stoichiometry ... 27 meV per atom
Spin magnetization ... 0.02 μB/f.u.
ρ ... 4.8 Mg/m³

Cell lengths 3.4015, 3.4012, 45.0577 Å; angles 90.00, 90.00, 120.00 degrees
With the nearest neighbours (Å) after each atom.
Element x y z (fractional)
W 0.6667 0.3333 0.2750  6 Se 2.57
W 0.6667 0.3333 0.6575  6 Te 2.72
Te 0.6667 0.3333 0.1351  3 Mo 2.71
Se 0.3333 0.6667 0.2384  3 W 2.57
S 0.6667 0.3333 0.4409  3 Mo 2.49
Se 0.3333 0.6666 0.3119  3 W 2.57
Te 0.3334 0.6667 0.6157  3 W 2.72
S 0.6667 0.3333 0.5077  3 Mo 2.46
Te 0.3333 0.6667 0.6993  3 W 2.72
Mg 0.0000 0.0001 0.3870  3 S 3.12, 6 Mg 3.40
Mo 0.3334 0.6667 0.0936  6 Te 2.71
Mo 0.3333 0.6666 0.4748  6 S 2.46-2.49
Te 0.6667 0.3334 0.0520  3 Mo 2.71


Record 4
VASP calculation (GGA-PBE) on a relaxed MgTe4Mo2W2Se2S2 crystal.

Results
Energy above the lowest structure with this stoichiometry ... 39 meV per atom
Spin magnetization ... 0.00 μB/f.u.
ρ ... 5.7 Mg/m³

Cell lengths 3.3881, 3.3880, 38.7406 Å; angles 90.00, 90.00, 120.01 degrees
With the nearest neighbours (Å) after each atom.
Element x y z (fractional)
Te 0.3334 0.6667 0.7063  3 W 2.72
Se 0.3334 0.6667 0.2391  3 Mo 2.56
Mo 0.3333 0.6666 0.0939  6 Te 2.71
Mg 0.5988 0.2459 0.8753  6 Mg 3.39
Se 0.3334 0.6667 0.3245  3 Mo 2.56
S 0.6666 0.3333 0.5086  3 W 2.47
Te 0.6667 0.3333 0.1424  3 Mo 2.71
Te 0.6667 0.3333 0.0454  3 Mo 2.71
S 0.6666 0.3333 0.4307  3 W 2.47
Mo 0.6667 0.3334 0.2818  6 Se 2.56
W 0.6667 0.3334 0.6576  6 Te 2.72
W 0.3333 0.6666 0.4696  6 S 2.47
Te 0.3334 0.6667 0.6088  3 W 2.72


Record 5
VASP calculation (GGA-PBE) on a relaxed MgTe4MoW3Se2S2 crystal.

Results
Energy above the lowest structure with this stoichiometry ... 0 meV per atom
Spin magnetization ... 0.00 μB/f.u.
ρ ... 5.2 Mg/m³

Cell lengths 3.3955, 3.3956, 44.6733 Å; angles 90.23, 89.78, 119.99 degrees
With the nearest neighbours (Å) after each atom.
Element x y z (fractional)
Te 0.6652 0.3348 0.1360  3 Mo 2.71
Se 0.6678 0.3321 0.4373  3 W 2.57
Mg 0.6665 0.3333 0.3717  1 Se 2.93
Te 0.3347 0.6653 0.6154  3 W 2.72
S 0.3304 0.6698 0.3075  3 W 2.47
Te 0.3319 0.6683 0.6999  3 W 2.72
W 0.6648 0.3353 0.2738  6 S 2.47
W 0.3333 0.6666 0.4745  6 Se 2.56-2.57
S 0.3326 0.6674 0.2403  3 W 2.47
Mo 0.3331 0.6668 0.0940  6 Te 2.71
Se 0.6657 0.3344 0.5115  3 W 2.56
Te 0.6678 0.3319 0.0520  3 Mo 2.71
W 0.6667 0.3334 0.6577  6 Te 2.72


Record 6
VASP calculation (GGA-PBE) on a relaxed MgTe4Mo2W2Se2S2 crystal.

Results
Energy above the lowest structure with this stoichiometry ... 30 meV per atom
Spin magnetization ... 0.05 μB/f.u.
ρ ... 4.8 Mg/m³

Cell lengths 3.3988, 3.3987, 45.3544 Å; angles 89.99, 90.00, 120.00 degrees
With the nearest neighbours (Å) after each atom.
Element x y z (fractional)
Te 0.3334 0.6668 0.7057  3 W 2.72
Mg 0.0000 0.0000 0.5513  3 S 3.17, 6 Mg 3.40
W 0.6668 0.3336 0.6642  6 Te 2.72-2.73
Mo 0.3333 0.6666 0.4629  6 S 2.46-2.48
Se 0.3333 0.6666 0.3185  3 W 2.57
Se 0.3334 0.6668 0.2455  3 W 2.57
Mo 0.3332 0.6664 0.0939  6 Te 2.71
S 0.6667 0.3334 0.4301  3 Mo 2.46
Te 0.6666 0.3333 0.0526  3 Mo 2.71
S 0.6666 0.3332 0.4965  3 Mo 2.48
Te 0.6665 0.3330 0.1352  3 Mo 2.71
W 0.6667 0.3334 0.2820  6 Se 2.57
Te 0.3335 0.6670 0.6224  3 W 2.73


Record 7
VASP calculation (GGA-PBE) on a relaxed MgTe4Mo2W2Se2S2 crystal.

Results
Energy above the lowest structure with this stoichiometry ... 21 meV per atom
Spin magnetization ... 0.00 μB/f.u.
ρ ... 4.7 Mg/m³

Cell lengths 3.3901, 3.3902, 46.5664 Å; angles 90.00, 90.00, 120.01 degrees
With the nearest neighbours (Å) after each atom.
Element x y z (fractional)
Te 0.3334 0.6667 0.7044  3 W 2.72
Se 0.3333 0.6666 0.3174  3 Mo 2.56
Te 0.6666 0.3333 0.0536  3 Mo 2.71
S 0.6665 0.3334 0.4937  3 W 2.47
Mo 0.3333 0.6665 0.0939  6 Te 2.71
Te 0.6665 0.3332 0.1342  3 Mo 2.71
S 0.6667 0.3334 0.4290  3 W 2.47
Se 0.3334 0.6667 0.2465  3 Mo 2.56
Te 0.3336 0.6667 0.6230  3 W 2.73
W 0.6667 0.3335 0.6639  6 Te 2.72-2.73
Mo 0.6667 0.3334 0.2819  6 Se 2.56
Mg 0.0001 0.0000 0.5580  6 Mg 3.39, 3 S 3.57-3.58, 3 Te 3.60-3.61
W 0.3332 0.6667 0.4613  6 S 2.47


Record 8
VASP calculation (GGA-PBE) on a relaxed MgTe2Mo3WSe4S2 crystal.

Results
Energy above the lowest structure with this stoichiometry ... 12 meV per atom
Spin magnetization ... 0.00 μB/f.u.
ρ ... 4.4 Mg/m³

Cell lengths 3.3439, 3.3440, 44.1414 Å; angles 89.97, 90.00, 120.00 degrees
With the nearest neighbours (Å) after each atom.
Element x y z (fractional)
Mg 0.9998 0.9995 0.3845  3 S 3.11, 6 Mg 3.34
Te 0.6663 0.3326 0.1362  3 Mo 2.71
Se 0.3333 0.6666 0.6954  3 W 2.56
W 0.6669 0.3337 0.6575  6 Se 2.56
Mo 0.3332 0.6663 0.0933  6 Te 2.71
Te 0.6667 0.3335 0.0503  3 Mo 2.71
Se 0.3337 0.6675 0.6195  3 W 2.56
Mo 0.3333 0.6667 0.4749  6 S 2.45-2.48
S 0.6666 0.3331 0.5089  3 Mo 2.45
Se 0.3336 0.6671 0.2384  3 Mo 2.55
S 0.6669 0.3337 0.4397  3 Mo 2.48
Mo 0.6667 0.3334 0.2761  6 Se 2.55-2.56
Se 0.3332 0.6663 0.3142  3 Mo 2.56


Record 9
VASP calculation (GGA-PBE) on a relaxed MgTe4Mo2W2Se2S2 crystal.

Results
Energy above the lowest structure with this stoichiometry ... 54 meV per atom
Spin magnetization ... 0.01 μB/f.u.
ρ ... 5.9 Mg/m³

Cell lengths 3.3903, 3.3902, 37.2150 Å; angles 90.02, 90.00, 120.00 degrees
With the nearest neighbours (Å) after each atom.
Element x y z (fractional)
W 0.6670 0.3341 0.6577  6 Te 2.72
S 0.6665 0.3333 0.4292  3 Mo 2.47
Se 0.3330 0.6661 0.2377  3 W 2.56-2.57
Se 0.3333 0.6666 0.3267  3 W 2.56
S 0.6667 0.3338 0.5099  3 Mo 2.47
Te 0.6670 0.3339 0.1439  3 Mo 2.71
Mo 0.3335 0.6669 0.0934  6 Te 2.71
Te 0.3339 0.6677 0.7084  3 W 2.72
Mg 0.5755 0.3693 0.8755  6 Mg 3.39
Mo 0.3333 0.6669 0.4695  6 S 2.47
Te 0.6667 0.3333 0.0431  3 Mo 2.71
W 0.6665 0.3330 0.2822  6 Se 2.56-2.57
Te 0.3335 0.6671 0.6070  3 W 2.72


Record 10
VASP calculation (GGA-PBE) on a relaxed MgTe4Mo2W2Se2S2 crystal.

Results
Energy above the lowest structure with this stoichiometry ... 37 meV per atom
Spin magnetization ... 0.06 μB/f.u.
ρ ... 5.1 Mg/m³

Cell lengths 3.4202, 3.4203, 42.1599 Å; angles 90.00, 90.12, 120.00 degrees
With the nearest neighbours (Å) after each atom.
Element x y z (fractional)
W 0.6672 0.3336 0.6576  6 Te 2.72
Se 0.6680 0.3340 0.5121  3 Mo 2.56-2.57
Mo 0.3330 0.6665 0.4733  6 Se 2.56-2.57
Te 0.6684 0.3342 0.1384  3 W 2.72
Se 0.6646 0.3323 0.4341  3 Mo 2.57
W 0.3331 0.6665 0.0940  6 Te 2.72
Te 0.6645 0.3323 0.0495  3 W 2.72
S 0.3347 0.6674 0.2420  3 Mo 2.47
Te 0.3356 0.6678 0.7021  3 W 2.72
Mo 0.6688 0.3345 0.2770  6 S 2.47-2.49
Mg 0.6725 0.3362 0.3654  1 Se 2.90, 3 S 2.96
Te 0.3321 0.6661 0.6131  3 W 2.72
S 0.3361 0.6681 0.3130  3 Mo 2.49